(1)
A relaxed structure of BaTb2SmO6. Source: the Materials Project, functional GGA-PBE.

Values from the calculation:
Formation enthalpy at 0 K ... -3.473 eV per atom
Space group ... Pmc2_1, No. 26
E_tot ... -7.62 eV per atom
Total magnetization ... 2.0 μB per cell
Energy above the lowest structure with this stoichiometry ... 0.00 kcal/mol of atoms
Crystal system ... orthorhombic

Unit cell a=8.6489 b=5.9922 c=6.2006 alpha=90.00 beta=90.00 gamma=90.00
Closest atoms and distances in Å follow each position.
Positions (direct):
Ba 0.0000 0.2475 0.0000  4 O 2.56-2.75
Ba 0.0000 0.7525 0.5000  4 O 2.56-2.75
Tb 0.2614 0.2434 0.5369  6 O 2.25-2.32
Tb 0.2614 0.7566 0.0369  6 O 2.25-2.32
Tb 0.7386 0.2434 0.5369  6 O 2.25-2.32
Tb 0.7386 0.7566 0.0369  6 O 2.25-2.32
Sm 0.5000 0.2633 0.0973  6 O 2.34-2.59
Sm 0.5000 0.7367 0.5973  6 O 2.34-2.59
O 0.0000 0.3075 0.5607  2 Tb 2.30
O 0.0000 0.6925 0.0607  2 Tb 2.30
O 0.2353 0.0901 0.1996  2 Tb 2.25-2.30
O 0.2353 0.9099 0.6996  2 Tb 2.25-2.30
O 0.3372 0.4535 0.8286  2 Tb 2.30-2.32, 1 Sm 2.46
O 0.3372 0.5465 0.3286  2 Tb 2.30-2.32, 1 Sm 2.46
O 0.5000 0.0993 0.4567  2 Tb 2.29, 2 Sm 2.34-2.44
O 0.5000 0.9007 0.9567  2 Tb 2.29, 2 Sm 2.34-2.44
O 0.6628 0.4535 0.8286  2 Tb 2.30-2.32, 1 Sm 2.46
O 0.6628 0.5465 0.3286  2 Tb 2.30-2.32, 1 Sm 2.46
O 0.7647 0.0901 0.1996  2 Tb 2.25-2.30
O 0.7647 0.9099 0.6996  2 Tb 2.25-2.30


(2)
A relaxed structure of Re3B. Source: the Materials Project, functional GGA-PBE.

Values from the calculation:
Formation enthalpy at 0 K ... -0.203 eV per atom
Space group ... Cmcm, No. 63
E_tot ... -11.21 eV per atom
Crystal system ... orthorhombic

Unit cell a=4.9252 b=4.9252 c=7.3681 alpha=90.00 beta=90.00 gamma=145.61
Closest atoms and distances in Å follow each position.
Positions (direct):
Re 0.0766 0.9234 0.7500  2 B 2.22
Re 0.3669 0.6331 0.5654  2 B 2.25
Re 0.3669 0.6331 0.9346  2 B 2.25
Re 0.6331 0.3669 0.0654  2 B 2.25
Re 0.6331 0.3669 0.4346  2 B 2.25
Re 0.9234 0.0766 0.2500  2 B 2.22
B 0.2448 0.7552 0.2500  6 Re 2.22-2.25
B 0.7552 0.2448 0.7500  6 Re 2.22-2.25


(3)
A relaxed structure of Tm6Al43W4. Source: the Materials Project, functional GGA-PBE.

Values from the calculation:
Formation enthalpy at 0 K ... -0.265 eV per atom
Space group ... P6_3/mcm, No. 193
E_tot ... -4.79 eV per atom
Total magnetization ... 0.8 μB per cell
Crystal system ... hexagonal

Unit cell a=11.0314 b=11.0314 c=17.5414 alpha=90.00 beta=90.00 gamma=120.00
Closest atoms and distances in Å follow each position.
Positions (direct):
Tm 0.0000 0.4683 0.0956  15 Al 3.05-3.42
Tm 0.0000 0.4683 0.4044  15 Al 3.05-3.42
Tm 0.0000 0.5317 0.5956  15 Al 3.05-3.42
Tm 0.0000 0.5317 0.9044  15 Al 3.05-3.42
Tm 0.4683 0.0000 0.0956  15 Al 3.05-3.42
Tm 0.4683 0.0000 0.4044  15 Al 3.05-3.42
Tm 0.4683 0.4683 0.5956  15 Al 3.05-3.42
Tm 0.4683 0.4683 0.9044  15 Al 3.05-3.42
Tm 0.5317 0.0000 0.5956  15 Al 3.05-3.42
Tm 0.5317 0.0000 0.9044  15 Al 3.05-3.42
Tm 0.5317 0.5317 0.0956  15 Al 3.05-3.42
Tm 0.5317 0.5317 0.4044  15 Al 3.05-3.42
Al 0.0000 0.1476 0.7500  2 W 2.60, 6 Al 2.82-2.84
Al 0.0000 0.1598 0.1147  2 W 2.67-2.68, 7 Al 2.74-2.92
Al 0.0000 0.1598 0.3853  2 W 2.67-2.68, 7 Al 2.74-2.92
Al 0.0000 0.2550 0.5306  9 Al 2.73-3.01, 1 W 2.86
Al 0.0000 0.2550 0.9694  9 Al 2.73-3.01, 1 W 2.86
Al 0.0000 0.7450 0.0306  9 Al 2.73-3.01, 1 W 2.86
Al 0.0000 0.7450 0.4694  9 Al 2.73-3.01, 1 W 2.86
Al 0.0000 0.8402 0.6147  2 W 2.67-2.68, 7 Al 2.74-2.92
Al 0.0000 0.8402 0.8853  2 W 2.67-2.68, 7 Al 2.74-2.92
Al 0.0000 0.8524 0.2500  2 W 2.60, 6 Al 2.82-2.84
Al 0.1473 0.5522 0.2500  1 W 2.68, 7 Al 2.73-2.83
Al 0.1473 0.5951 0.7500  1 W 2.68, 7 Al 2.73-2.83
Al 0.1476 0.0000 0.7500  2 W 2.60, 6 Al 2.82-2.84
Al 0.1476 0.1476 0.2500  2 W 2.60, 6 Al 2.82-2.84
Al 0.1581 0.3950 0.6633  7 Al 2.71-3.02, 1 W 2.73
Al 0.1581 0.3950 0.8367  7 Al 2.71-3.02, 1 W 2.73
Al 0.1581 0.7630 0.1633  7 Al 2.71-3.02, 1 W 2.73
Al 0.1581 0.7630 0.3367  7 Al 2.71-3.02, 1 W 2.73
Al 0.1598 0.0000 0.1147  2 W 2.67-2.68, 7 Al 2.74-2.92
Al 0.1598 0.0000 0.3853  2 W 2.67-2.68, 7 Al 2.74-2.92
Al 0.1598 0.1598 0.6147  2 W 2.67-2.68, 7 Al 2.74-2.92
Al 0.1598 0.1598 0.8853  2 W 2.67-2.68, 7 Al 2.74-2.92
Al 0.2370 0.3950 0.1633  7 Al 2.71-3.02, 1 W 2.73
Al 0.2370 0.3950 0.3367  7 Al 2.71-3.02, 1 W 2.73
Al 0.2370 0.8419 0.6633  7 Al 2.71-3.02, 1 W 2.73
Al 0.2370 0.8419 0.8367  7 Al 2.71-3.02, 1 W 2.73
Al 0.2468 0.4936 0.0000  8 Al 2.73-3.05
Al 0.2468 0.4936 0.5000  8 Al 2.73-3.05
Al 0.2468 0.7532 0.0000  8 Al 2.73-3.05
Al 0.2468 0.7532 0.5000  8 Al 2.73-3.05
Al 0.2550 0.0000 0.5306  9 Al 2.73-3.01, 1 W 2.86
Al 0.2550 0.0000 0.9694  9 Al 2.73-3.01, 1 W 2.86
Al 0.2550 0.2550 0.0306  9 Al 2.73-3.01, 1 W 2.86
Al 0.2550 0.2550 0.4694  9 Al 2.73-3.01, 1 W 2.86
Al 0.3333 0.6667 0.1260  9 Al 2.71-2.82
Al 0.3333 0.6667 0.3740  9 Al 2.71-2.82
Al 0.3333 0.6667 0.6260  9 Al 2.71-2.82
Al 0.3333 0.6667 0.8740  9 Al 2.71-2.82
Al 0.3950 0.1581 0.6633  7 Al 2.71-3.02, 1 W 2.73
Al 0.3950 0.1581 0.8367  7 Al 2.71-3.02, 1 W 2.73
Al 0.3950 0.2370 0.1633  7 Al 2.71-3.02, 1 W 2.73
Al 0.3950 0.2370 0.3367  7 Al 2.71-3.02, 1 W 2.73
Al 0.4049 0.5522 0.7500  1 W 2.68, 7 Al 2.73-2.83
Al 0.4049 0.8527 0.2500  1 W 2.68, 7 Al 2.73-2.83
Al 0.4478 0.5951 0.2500  1 W 2.68, 7 Al 2.73-2.83
Al 0.4478 0.8527 0.7500  1 W 2.68, 7 Al 2.73-2.83
Al 0.4936 0.2468 0.0000  8 Al 2.73-3.05
Al 0.4936 0.2468 0.5000  8 Al 2.73-3.05
Al 0.5064 0.7532 0.0000  8 Al 2.73-3.05
Al 0.5064 0.7532 0.5000  8 Al 2.73-3.05
Al 0.5522 0.1473 0.2500  1 W 2.68, 7 Al 2.73-2.83
Al 0.5522 0.4049 0.7500  1 W 2.68, 7 Al 2.73-2.83
Al 0.5951 0.1473 0.7500  1 W 2.68, 7 Al 2.73-2.83
Al 0.5951 0.4478 0.2500  1 W 2.68, 7 Al 2.73-2.83
Al 0.6050 0.7630 0.6633  7 Al 2.71-3.02, 1 W 2.73
Al 0.6050 0.7630 0.8367  7 Al 2.71-3.02, 1 W 2.73
Al 0.6050 0.8419 0.1633  7 Al 2.71-3.02, 1 W 2.73
Al 0.6050 0.8419 0.3367  7 Al 2.71-3.02, 1 W 2.73
Al 0.6667 0.3333 0.1260  9 Al 2.71-2.82
Al 0.6667 0.3333 0.3740  9 Al 2.71-2.82
Al 0.6667 0.3333 0.6260  9 Al 2.71-2.82
Al 0.6667 0.3333 0.8740  9 Al 2.71-2.82
Al 0.7450 0.0000 0.0306  9 Al 2.73-3.01, 1 W 2.86
Al 0.7450 0.0000 0.4694  9 Al 2.73-3.01, 1 W 2.86
Al 0.7450 0.7450 0.5306  9 Al 2.73-3.01, 1 W 2.86
Al 0.7450 0.7450 0.9694  9 Al 2.73-3.01, 1 W 2.86
Al 0.7532 0.2468 0.0000  8 Al 2.73-3.05
Al 0.7532 0.2468 0.5000  8 Al 2.73-3.05
Al 0.7532 0.5064 0.0000  8 Al 2.73-3.05
Al 0.7532 0.5064 0.5000  8 Al 2.73-3.05
Al 0.7630 0.1581 0.1633  7 Al 2.71-3.02, 1 W 2.73
Al 0.7630 0.1581 0.3367  7 Al 2.71-3.02, 1 W 2.73
Al 0.7630 0.6050 0.6633  7 Al 2.71-3.02, 1 W 2.73
Al 0.7630 0.6050 0.8367  7 Al 2.71-3.02, 1 W 2.73
Al 0.8402 0.0000 0.6147  2 W 2.67-2.68, 7 Al 2.74-2.92
Al 0.8402 0.0000 0.8853  2 W 2.67-2.68, 7 Al 2.74-2.92
Al 0.8402 0.8402 0.1147  2 W 2.67-2.68, 7 Al 2.74-2.92
Al 0.8402 0.8402 0.3853  2 W 2.67-2.68, 7 Al 2.74-2.92
Al 0.8419 0.2370 0.6633  7 Al 2.71-3.02, 1 W 2.73
Al 0.8419 0.2370 0.8367  7 Al 2.71-3.02, 1 W 2.73
Al 0.8419 0.6050 0.1633  7 Al 2.71-3.02, 1 W 2.73
Al 0.8419 0.6050 0.3367  7 Al 2.71-3.02, 1 W 2.73
Al 0.8524 0.0000 0.2500  2 W 2.60, 6 Al 2.82-2.84
Al 0.8524 0.8524 0.7500  2 W 2.60, 6 Al 2.82-2.84
Al 0.8527 0.4049 0.2500  1 W 2.68, 7 Al 2.73-2.83
Al 0.8527 0.4478 0.7500  1 W 2.68, 7 Al 2.73-2.83
W 0.0000 0.0000 0.0000  12 Al 2.68-2.86
W 0.0000 0.0000 0.5000  12 Al 2.68-2.86
W 0.0000 0.2714 0.2500  10 Al 2.60-2.73
W 0.0000 0.7286 0.7500  10 Al 2.60-2.73
W 0.2714 0.0000 0.2500  10 Al 2.60-2.73
W 0.2714 0.2714 0.7500  10 Al 2.60-2.73
W 0.7286 0.0000 0.7500  10 Al 2.60-2.73
W 0.7286 0.7286 0.2500  10 Al 2.60-2.73


(4)
A relaxed structure of Ba6Lu2Al4O15. Source: the Materials Project, functional GGA-PBE.

Values from the calculation:
Formation enthalpy at 0 K ... -3.436 eV per atom
Space group ... P2/c, No. 13
E_tot ... -7.12 eV per atom
Total magnetization ... 0.0 μB per cell
Crystal system ... monoclinic

Unit cell a=7.8947 b=5.9070 c=18.3748 alpha=90.00 beta=91.60 gamma=90.00
Closest atoms and distances in Å follow each position.
Positions (direct):
Ba 0.0000 0.1735 0.2500  8 O 2.81-2.96
Ba 0.0000 0.8265 0.7500  8 O 2.81-2.96
Ba 0.0012 0.2562 0.9196  2 O 2.53-2.81
Ba 0.0012 0.7438 0.4196  2 O 2.53-2.81
Ba 0.4711 0.2471 0.9110  9 O 2.82-3.00
Ba 0.4711 0.7529 0.4110  9 O 2.82-3.00
Ba 0.5000 0.2209 0.2500  8 O 2.74-3.02
Ba 0.5000 0.7791 0.7500  8 O 2.74-3.02
Ba 0.5289 0.2471 0.5890  9 O 2.82-3.00
Ba 0.5289 0.7529 0.0890  9 O 2.82-3.00
Ba 0.9988 0.2562 0.5804  2 O 2.53-2.81
Ba 0.9988 0.7438 0.0804  2 O 2.53-2.81
Lu 0.2514 0.2439 0.0896  6 O 2.19-2.38
Lu 0.2514 0.7561 0.5896  6 O 2.19-2.38
Lu 0.7486 0.2439 0.4104  6 O 2.19-2.38
Lu 0.7486 0.7561 0.9104  6 O 2.19-2.38
Al 0.2526 0.2523 0.4450  4 O 1.80-1.81
Al 0.2526 0.7477 0.9450  4 O 1.80-1.81
Al 0.2785 0.2720 0.7315  4 O 1.74-1.80
Al 0.2785 0.7280 0.2315  4 O 1.74-1.80
Al 0.7215 0.2720 0.7685  4 O 1.74-1.80
Al 0.7215 0.7280 0.2685  4 O 1.74-1.80
Al 0.7474 0.2523 0.0550  4 O 1.80-1.81
Al 0.7474 0.7477 0.5550  4 O 1.80-1.81
O 0.0377 0.2537 0.4088  1 Al 1.80
O 0.0377 0.7463 0.9088  1 Al 1.80
O 0.1911 0.1874 0.8130  1 Al 1.74
O 0.1911 0.8126 0.3130  1 Al 1.74
O 0.2330 0.4674 0.1865  1 Al 1.78
O 0.2330 0.5326 0.6865  1 Al 1.78
O 0.2530 0.0463 0.6662  1 Al 1.80
O 0.2530 0.9537 0.1662  1 Al 1.80
O 0.2618 0.4976 0.5042  1 Al 1.81
O 0.2618 0.5024 0.0042  1 Al 1.81
O 0.2628 0.0066 0.5024  1 Al 1.80
O 0.2628 0.9934 0.0024  1 Al 1.80
O 0.4480 0.2573 0.3963  1 Al 1.80
O 0.4480 0.7427 0.8963  1 Al 1.80
O 0.5000 0.2897 0.7500  2 Al 1.77
O 0.5000 0.7103 0.2500  2 Al 1.77
O 0.5520 0.2573 0.1037  1 Al 1.80
O 0.5520 0.7427 0.6037  1 Al 1.80
O 0.7372 0.0066 0.9976  1 Al 1.80
O 0.7372 0.9934 0.4976  1 Al 1.80
O 0.7382 0.4976 0.9958  1 Al 1.81
O 0.7382 0.5024 0.4958  1 Al 1.81
O 0.7470 0.0463 0.8338  1 Al 1.80
O 0.7470 0.9537 0.3338  1 Al 1.80
O 0.7670 0.4674 0.3135  1 Al 1.78
O 0.7670 0.5326 0.8135  1 Al 1.78
O 0.8089 0.1874 0.6870  1 Al 1.74
O 0.8089 0.8126 0.1870  1 Al 1.74
O 0.9623 0.2537 0.0912  1 Al 1.80
O 0.9623 0.7463 0.5912  1 Al 1.80


(5)
A relaxed structure of Li7Nb8O24. Source: the Materials Project, functional GGA-PBE.

Values from the calculation:
Formation enthalpy at 0 K ... -2.839 eV per atom
Space group ... P1, No. 1
E_tot ... -7.88 eV per atom
Total magnetization ... 1.0 μB per cell
Energy above the lowest structure with this stoichiometry ... 0.18 kcal/mol of atoms
Crystal system ... triclinic

Unit cell a=5.2592 b=9.1012 c=9.8856 alpha=107.95 beta=90.01 gamma=90.05
Closest atoms and distances in Å follow each position.
Positions (direct):
Li 0.0000 0.0000 0.0000  5 O 2.10-2.33
Li 0.0002 0.2464 0.7504  4 O 2.09-2.27
Li 0.4954 0.7505 0.7479  4 O 2.06-2.30
Li 0.4958 0.9987 0.5012  3 O 2.06-2.09
Li 0.4965 0.2494 0.2512  3 O 2.06-2.08
Li 0.9967 0.7130 0.1489  3 O 2.00-2.01
Li 0.9986 0.4972 0.4955  3 O 2.06-2.08
Nb 0.4961 0.1113 0.8310  3 O 1.87-1.94
Nb 0.4956 0.3597 0.5820  3 O 1.91-1.92
Nb 0.4975 0.6119 0.3330  3 O 1.90-1.94
Nb 0.4974 0.8607 0.0851  4 O 1.90-2.13
Nb 0.9932 0.6086 0.8262  4 O 1.89-2.11
Nb 0.9956 0.1078 0.3350  3 O 1.89-1.92
Nb 0.9964 0.8581 0.5795  6 O 1.92-2.14
Nb 0.9985 0.3598 0.0875  3 O 1.90-1.91
O 0.1217 0.7200 0.6786  2 Nb 1.93-2.13, 1 Li 2.07
O 0.1242 0.2196 0.1810  1 Nb 1.91, 1 Li 2.07
O 0.1761 0.9157 0.1782  1 Nb 1.92, 1 Li 2.01
O 0.1774 0.4148 0.6772  1 Nb 1.91, 1 Li 2.10
O 0.1876 0.5396 0.1863  1 Nb 1.91, 1 Li 2.00
O 0.1939 0.0367 0.6782  1 Nb 1.92, 1 Li 2.09
O 0.2865 0.2752 0.9282  1 Nb 1.87
O 0.3030 0.6816 0.9289  2 Nb 1.93-2.13
O 0.3083 0.7897 0.4351  1 Nb 1.90, 1 Li 2.06
O 0.3154 0.1655 0.4301  1 Nb 1.92, 1 Li 2.09
O 0.3751 0.4705 0.4300  2 Nb 1.94-2.15, 1 Li 2.07
O 0.3789 0.9703 0.9303  2 Nb 1.94-2.16, 1 Li 2.10
O 0.6197 0.2228 0.6805  2 Nb 1.92-2.14, 1 Li 2.11
O 0.6202 0.7264 0.1847  1 Nb 1.90, 1 Li 2.01
O 0.6832 0.9154 0.6816  1 Nb 1.92, 1 Li 2.06
O 0.6866 0.4150 0.1881  1 Nb 1.90, 1 Li 2.06
O 0.6884 0.5403 0.6808  2 Nb 1.92-2.11, 1 Li 2.09
O 0.6911 0.0409 0.1809  1 Nb 1.91, 1 Li 2.08
O 0.7999 0.7855 0.9344  2 Nb 1.93-2.14, 1 Li 2.13
O 0.8027 0.2882 0.4309  1 Nb 1.91, 1 Li 2.08
O 0.8089 0.1702 0.9330  1 Nb 1.92, 1 Li 2.12
O 0.8091 0.6659 0.4365  2 Nb 1.91-2.12, 1 Li 2.06
O 0.8722 0.9770 0.4364  1 Nb 1.89, 1 Li 2.07
O 0.9091 0.4769 0.9351  1 Nb 1.89


(6)
A relaxed structure of TiCrSi4. Source: the Materials Project, functional GGA-PBE.

Values from the calculation:
Formation enthalpy at 0 K ... -0.372 eV per atom
Space group ... P2, No. 3
E_tot ... -6.96 eV per atom
Total magnetization ... 0.0 μB per cell
Crystal system ... monoclinic

Unit cell a=4.5963 b=12.8230 c=4.6143 alpha=90.00 beta=119.57 gamma=90.00
Closest atoms and distances in Å follow each position.
Positions (direct):
Ti 0.0000 0.0000 0.0000  10 Si 2.53-2.70
Ti 0.0000 0.4972 0.0000  10 Si 2.56-2.70
Ti 0.5000 0.6639 0.0000  10 Si 2.54-2.71
Cr 0.0000 0.3298 0.5000  10 Si 2.47-2.69
Cr 0.0000 0.8338 0.5000  10 Si 2.52-2.69
Cr 0.5000 0.1644 0.0000  10 Si 2.48-2.69
Si 0.1717 0.1668 0.3422  4 Cr 2.47-2.69, 5 Si 2.48-2.75, 1 Ti 2.54
Si 0.1788 0.6675 0.3427  5 Si 2.49-2.75, 1 Cr 2.52, 4 Ti 2.58-2.71
Si 0.3351 0.4944 0.6566  5 Si 2.49-2.76, 1 Cr 2.50, 4 Ti 2.57-2.70
Si 0.3350 0.8324 0.1706  5 Si 2.49-2.68, 2 Ti 2.53-2.54, 3 Cr 2.64-2.69
Si 0.3412 0.3285 0.1695  4 Cr 2.48-2.69, 5 Si 2.48-2.73, 1 Ti 2.56
Si 0.3408 0.9987 0.6622  5 Si 2.50-2.73, 2 Cr 2.52, 3 Ti 2.64-2.70
Si 0.6588 0.3285 0.8305  4 Cr 2.48-2.69, 5 Si 2.48-2.73, 1 Ti 2.56
Si 0.6592 0.9987 0.3378  5 Si 2.50-2.73, 2 Cr 2.52, 3 Ti 2.64-2.70
Si 0.6649 0.4944 0.3434  5 Si 2.49-2.76, 1 Cr 2.50, 4 Ti 2.57-2.70
Si 0.6650 0.8324 0.8294  5 Si 2.49-2.68, 2 Ti 2.53-2.54, 3 Cr 2.64-2.69
Si 0.8212 0.6675 0.6573  5 Si 2.49-2.75, 1 Cr 2.52, 4 Ti 2.58-2.71
Si 0.8283 0.1668 0.6579  4 Cr 2.47-2.69, 5 Si 2.48-2.75, 1 Ti 2.54